--- P ---
## Na4MgCuAs2O8 (PBE-GGA)

Data for a relaxed Na4MgCuAs2O8 crystal.

Output
Total moment ... 0.000 μB per atom

Cell lengths 5.3926, 6.5566, 6.9849 Å; angles 92.89, 91.16, 94.70 degrees
Closest atoms and distances in Å follow each position.
Element x y z (fractional)
Na 0.1084 0.2426 0.2365  3 O 2.25-2.35
Na 0.3515 0.7169 0.0098  4 O 2.35-2.49
Na 0.6485 0.2831 0.9902  4 O 2.35-2.49
Na 0.8916 0.7574 0.7635  3 O 2.25-2.35
Mg 0.5000 0.0000 0.5000  6 O 2.10-2.33
Cu 0.5000 0.5000 0.5000  2 O 1.84
As 0.1385 0.1809 0.7414  4 O 1.74-1.83
As 0.8615 0.8191 0.2586  4 O 1.74-1.83
O 0.1836 0.8725 0.2834  1 As 1.75
O 0.2245 0.3473 0.9381  1 As 1.74
O 0.2802 0.9470 0.7513  1 As 1.77
O 0.3013 0.2618 0.5270  1 As 1.83, 1 Cu 1.84
O 0.6987 0.7382 0.4730  1 As 1.83, 1 Cu 1.84
O 0.7198 0.0530 0.2487  1 As 1.77
O 0.7755 0.6527 0.0619  1 As 1.74
O 0.8164 0.1275 0.7166  1 As 1.75

--- Q ---
## Na4MgCuAs2O8 (PBE-GGA)

Data for a relaxed Na4MgCuAs2O8 crystal.

Output
Total moment ... 0.062 μB per atom

Cell lengths 5.4149, 5.5719, 8.9961 Å; angles 79.15, 73.29, 61.13 degrees
Closest atoms and distances in Å follow each position.
Element x y z (fractional)
Na 0.0000 0.0000 0.0000  3 O 2.33-2.49
Na 0.1318 0.0203 0.6073  3 O 2.33-2.37
Na 0.6451 0.6485 0.0637  4 O 2.32-2.38
Na 0.8666 0.8757 0.3816  3 O 2.28-2.49
Mg 0.3939 0.3265 0.7998  5 O 1.99-2.12
Cu 0.5409 0.4428 0.4069  2 O 1.79-1.87
As 0.2829 0.2772 0.1952  4 O 1.71-1.78
As 0.7199 0.6311 0.7145  3 O 1.77-1.82
O 0.0016 0.3725 0.8103  1 As 1.82, 1 Mg 1.99
O 0.0061 0.6032 0.1833  1 As 1.72
O 0.1929 0.0649 0.3381  1 As 1.71
O 0.4186 0.1228 0.0202  1 As 1.73
O 0.4255 0.6499 0.8700  1 As 1.77
O 0.4827 0.5551 0.5933  1 Cu 1.79
O 0.5856 0.2901 0.2264  1 As 1.78, 1 Cu 1.87
O 0.7062 0.9626 0.6947  1 As 1.79

Which of them is most stable, and which least? Most stable: Q; least stable: P.

--- P ---
## Na4TeH10Se2O16 (PBE-GGA)

Data for a relaxed Na4TeH10Se2O16 crystal.

Output
Total moment ... 0.061 μB per atom

Cell lengths 6.1788, 12.6726, 10.9067 Å; angles 90.00, 112.47, 90.00 degrees
Closest atoms and distances in Å follow each position.
Element x y z (fractional)
Na 0.1231 0.0310 0.1481  4 O 2.37-2.59, 1 H 2.58
Na 0.1231 0.4690 0.6481  4 O 2.37-2.59, 1 H 2.58
Na 0.3758 0.7244 0.7693  5 O 2.34-2.59, 1 H 2.37
Na 0.3758 0.7756 0.2693  5 O 2.34-2.59, 1 H 2.37
Na 0.6242 0.2244 0.7307  5 O 2.34-2.59, 1 H 2.37
Na 0.6242 0.2756 0.2307  5 O 2.34-2.59, 1 H 2.37
Na 0.8769 0.5310 0.3519  4 O 2.37-2.59, 1 H 2.58
Na 0.8769 0.9690 0.8519  4 O 2.37-2.59, 1 H 2.58
Te 0.5000 0.0000 0.5000  6 O 2.16-2.37
Te 0.5000 0.5000 0.0000  6 O 2.16-2.37
H 0.1778 0.5678 0.2458  1 O 0.99
H 0.1778 0.9322 0.7458  1 O 0.99
H 0.2438 0.0471 0.7687  1 O 0.98
H 0.2438 0.4529 0.2687  1 O 0.98
H 0.3766 0.6290 0.1348  1 O 1.00
H 0.3766 0.8710 0.6348  1 O 1.00
H 0.4519 0.2438 0.9481  1 O 0.99
H 0.4519 0.2562 0.4481  1 O 0.99
H 0.4980 0.1233 0.9826  1 O 0.98
H 0.4980 0.3767 0.4826  1 O 0.98
H 0.5020 0.6233 0.5174  1 O 0.98
H 0.5020 0.8767 0.0174  1 O 0.98
H 0.5481 0.7438 0.5519  1 O 0.99
H 0.5481 0.7562 0.0519  1 O 0.99
H 0.6234 0.1290 0.3652  1 O 1.00
H 0.6234 0.3710 0.8652  1 O 1.00
H 0.7562 0.5471 0.7313  1 O 0.98
H 0.7562 0.9529 0.2313  1 O 0.98
H 0.8222 0.0678 0.2542  1 O 0.99
H 0.8222 0.4322 0.7542  1 O 0.99
Se 0.0639 0.2100 0.5260  2 O 1.68-1.82
Se 0.0639 0.2900 0.0260  2 O 1.68-1.82
Se 0.9361 0.7100 0.9740  2 O 1.68-1.82
Se 0.9361 0.7900 0.4740  2 O 1.68-1.82
O 0.0907 0.6588 0.1239  1 Se 1.68, 2 H 1.69-1.77
O 0.0907 0.8412 0.6239  1 Se 1.68, 2 H 1.69-1.77
O 0.1227 0.6721 0.8725  1 O 1.44
O 0.1227 0.8279 0.3725  1 O 1.44
O 0.1658 0.6325 0.5552  1 H 2.27, 2 Na 2.37-2.49, 1 Se 2.41
O 0.1658 0.8675 0.0552  1 H 2.27, 2 Na 2.37-2.49, 1 Se 2.41
O 0.1690 0.5619 0.8628  1 O 1.44
O 0.1690 0.9381 0.3628  1 O 1.44
O 0.2483 0.5171 0.3200  2 H 0.98-0.99
O 0.2483 0.9829 0.8200  2 H 0.98-0.99
O 0.2994 0.1142 0.5925  1 Se 1.82
O 0.2994 0.3858 0.0925  1 Se 1.82
O 0.4252 0.1861 0.0018  2 H 0.98-0.99
O 0.4252 0.3139 0.5018  2 H 0.98-0.99
O 0.4564 0.1225 0.3550  1 H 1.00
O 0.4564 0.3775 0.8550  1 H 1.00
O 0.5436 0.6225 0.1450  1 H 1.00
O 0.5436 0.8775 0.6450  1 H 1.00
O 0.5748 0.6861 0.4982  2 H 0.98-0.99
O 0.5748 0.8139 0.9982  2 H 0.98-0.99
O 0.7006 0.6142 0.9075  1 Se 1.82
O 0.7006 0.8858 0.4075  1 Se 1.82
O 0.7517 0.0171 0.1800  2 H 0.98-0.99
O 0.7517 0.4829 0.6800  2 H 0.98-0.99
O 0.8310 0.0619 0.6372  1 O 1.44
O 0.8310 0.4381 0.1372  1 O 1.44
O 0.8342 0.1325 0.9448  1 H 2.27, 2 Na 2.37-2.49, 1 Se 2.41
O 0.8342 0.3675 0.4448  1 H 2.27, 2 Na 2.37-2.49, 1 Se 2.41
O 0.8773 0.1721 0.6275  1 O 1.44
O 0.8773 0.3279 0.1275  1 O 1.44
O 0.9093 0.1588 0.3761  1 Se 1.68, 2 H 1.69-1.77
O 0.9093 0.3412 0.8761  1 Se 1.68, 2 H 1.69-1.77

--- Q ---
## Na4TeH10Se2O16 (PBE-GGA)

Data for a relaxed Na4TeH10Se2O16 crystal.

Output
Total moment ... 0.000 μB per atom

Cell lengths 5.2924, 13.6311, 11.3876 Å; angles 90.00, 103.07, 90.00 degrees
Closest atoms and distances in Å follow each position.
Element x y z (fractional)
Na 0.1286 0.1670 0.2247  5 O 2.31-2.42
Na 0.1286 0.3330 0.7247  5 O 2.31-2.42
Na 0.2781 0.5460 0.8611  4 O 2.34-2.46
Na 0.2781 0.9540 0.3611  4 O 2.34-2.46
Na 0.7219 0.0460 0.6389  4 O 2.34-2.46
Na 0.7219 0.4540 0.1389  4 O 2.34-2.46
Na 0.8714 0.6670 0.2753  5 O 2.31-2.42
Na 0.8714 0.8330 0.7753  5 O 2.31-2.42
Te 0.0000 0.0000 0.0000  4 O 1.84-2.05
Te 0.0000 0.5000 0.5000  4 O 1.84-2.05
H 0.0655 0.1495 0.8212  1 O 1.00
H 0.0655 0.3505 0.3212  1 O 1.00
H 0.1141 0.5903 0.0648  1 O 1.00
H 0.1141 0.9097 0.5648  1 O 1.00
H 0.1940 0.7056 0.7005  1 O 0.97
H 0.1940 0.7944 0.2005  1 O 0.97
H 0.1990 0.0566 0.6082  1 O 1.01
H 0.1990 0.4434 0.1082  1 O 1.01
H 0.3074 0.0039 0.7382  1 O 0.97
H 0.3074 0.4961 0.2382  1 O 0.97
H 0.6926 0.5039 0.7618  1 O 0.97
H 0.6926 0.9961 0.2618  1 O 0.97
H 0.8010 0.5566 0.8918  1 O 1.01
H 0.8010 0.9434 0.3918  1 O 1.01
H 0.8060 0.2056 0.7995  1 O 0.97
H 0.8060 0.2944 0.2995  1 O 0.97
H 0.8859 0.0903 0.4352  1 O 1.00
H 0.8859 0.4097 0.9352  1 O 1.00
H 0.9345 0.6495 0.6788  1 O 1.00
H 0.9345 0.8505 0.1788  1 O 1.00
Se 0.4977 0.6867 0.4976  3 O 1.65-1.83
Se 0.4977 0.8133 0.9976  3 O 1.65-1.83
Se 0.5023 0.1867 0.0024  3 O 1.65-1.83
Se 0.5023 0.3133 0.5024  3 O 1.65-1.83
O 0.0213 0.1275 0.4934  1 H 1.00
O 0.0213 0.3725 0.9934  1 H 1.00
O 0.0611 0.6858 0.7424  2 H 0.97-1.00
O 0.0611 0.8142 0.2424  2 H 0.97-1.00
O 0.1947 0.0049 0.1558  1 Te 1.84
O 0.1947 0.4951 0.6558  1 Te 1.84
O 0.1950 0.6176 0.4515  1 Se 1.83, 1 Te 2.05
O 0.1950 0.8824 0.9515  1 Se 1.83, 1 Te 2.05
O 0.2417 0.1205 0.4305  1 O 1.50
O 0.2417 0.3795 0.9305  1 O 1.50
O 0.2630 0.0936 0.9385  1 H 1.68, 1 Se 1.82
O 0.2630 0.4064 0.4385  1 H 1.68, 1 Se 1.82
O 0.3032 0.0006 0.6523  2 H 0.97-1.01
O 0.3032 0.4994 0.1523  2 H 0.97-1.01
O 0.4643 0.2140 0.1382  1 Se 1.65
O 0.4643 0.2860 0.6382  1 Se 1.65
O 0.5357 0.7140 0.3618  1 Se 1.65
O 0.5357 0.7860 0.8618  1 Se 1.65
O 0.6968 0.5006 0.8477  2 H 0.97-1.01
O 0.6968 0.9994 0.3477  2 H 0.97-1.01
O 0.7370 0.5936 0.5615  1 H 1.68, 1 Se 1.82
O 0.7370 0.9064 0.0615  1 H 1.68, 1 Se 1.82
O 0.7583 0.6205 0.0695  1 O 1.50
O 0.7583 0.8795 0.5695  1 O 1.50
O 0.8050 0.1176 0.0485  1 Se 1.83, 1 Te 2.05
O 0.8050 0.3824 0.5485  1 Se 1.83, 1 Te 2.05
O 0.8053 0.5049 0.3442  1 Te 1.84
O 0.8053 0.9951 0.8442  1 Te 1.84
O 0.9389 0.1858 0.7576  2 H 0.97-1.00
O 0.9389 0.3142 0.2576  2 H 0.97-1.00
O 0.9787 0.6275 0.0066  1 H 1.00
O 0.9787 0.8725 0.5066  1 H 1.00

Which of them is most stable, and which least? Most stable: Q; least stable: P.

--- P ---
## Ba2LaCl7 (PBE-GGA)

Data for a relaxed Ba2LaCl7 crystal.

Output
Total moment ... 0.000 μB per atom

Cell lengths 11.6994, 11.6994, 11.5666 Å; angles 113.16, 113.16, 68.70 degrees
Closest atoms and distances in Å follow each position.
Element x y z (fractional)
Ba 0.1020 0.7395 0.9557  7 Cl 3.16-3.42
Ba 0.2605 0.8980 0.5443  7 Cl 3.16-3.42
Ba 0.3309 0.4314 0.5361  7 Cl 3.13-3.36
Ba 0.4314 0.3309 0.0361  7 Cl 3.13-3.36
Ba 0.5686 0.6691 0.9639  7 Cl 3.13-3.36
Ba 0.6691 0.5686 0.4639  7 Cl 3.13-3.36
Ba 0.7395 0.1020 0.4557  7 Cl 3.16-3.42
Ba 0.8980 0.2605 0.0443  7 Cl 3.16-3.42
La 0.0138 0.3374 0.6780  6 Cl 2.74-2.81
La 0.3374 0.0138 0.1780  6 Cl 2.74-2.81
La 0.6626 0.9862 0.8220  6 Cl 2.74-2.81
La 0.9862 0.6626 0.3220  6 Cl 2.74-2.81
Cl 0.0321 0.0888 0.6678  1 La 2.80
Cl 0.0511 0.4134 0.3404  1 La 2.81
Cl 0.0888 0.0321 0.1678  1 La 2.80
Cl 0.1325 0.4540 0.9397  1 La 2.79
Cl 0.1409 0.7165 0.5812  1 La 2.78
Cl 0.2237 0.6239 0.2900  1 La 2.80
Cl 0.2347 0.2378 0.1099  1 La 2.74
Cl 0.2378 0.2347 0.6099  1 La 2.74
Cl 0.2835 0.8591 0.9188  1 La 2.78
Cl 0.3531 0.5231 0.8537  4 Ba 3.13-3.38
Cl 0.3761 0.7763 0.2100  1 La 2.80
Cl 0.4134 0.0511 0.8404  1 La 2.81
Cl 0.4540 0.1325 0.4397  1 La 2.79
Cl 0.4769 0.6469 0.6463  4 Ba 3.13-3.38
Cl 0.5231 0.3531 0.3537  4 Ba 3.13-3.38
Cl 0.5460 0.8675 0.5603  1 La 2.79
Cl 0.5866 0.9489 0.1596  1 La 2.81
Cl 0.6239 0.2237 0.7900  1 La 2.80
Cl 0.6469 0.4769 0.1463  4 Ba 3.13-3.38
Cl 0.7165 0.1409 0.0812  1 La 2.78
Cl 0.7622 0.7653 0.3901  1 La 2.74
Cl 0.7653 0.7622 0.8901  1 La 2.74
Cl 0.7763 0.3761 0.7100  1 La 2.80
Cl 0.8591 0.2835 0.4188  1 La 2.78
Cl 0.8675 0.5460 0.0603  1 La 2.79
Cl 0.9112 0.9679 0.8322  1 La 2.80
Cl 0.9489 0.5866 0.6596  1 La 2.81
Cl 0.9679 0.9112 0.3322  1 La 2.80

--- Q ---
## Ba2LaCl7 (PBE-GGA)

Data for a relaxed Ba2LaCl7 crystal.

Cell lengths 7.0767, 16.0108, 10.7990 Å; angles 90.00, 90.90, 90.00 degrees
Closest atoms and distances in Å follow each position.
Element x y z (fractional)
Ba 0.2314 0.0617 0.3243  9 Cl 3.18-3.44
Ba 0.2314 0.4383 0.8243  9 Cl 3.18-3.44
Ba 0.2306 0.7211 0.4496  9 Cl 3.17-3.43
Ba 0.2306 0.7789 0.9496  9 Cl 3.17-3.43
Ba 0.7694 0.2211 0.0504  9 Cl 3.17-3.43
Ba 0.7694 0.2789 0.5504  9 Cl 3.17-3.43
Ba 0.7686 0.5617 0.1757  9 Cl 3.18-3.44
Ba 0.7686 0.9383 0.6757  9 Cl 3.18-3.44
La 0.2809 0.1264 0.7826  7 Cl 2.81-2.93
La 0.2809 0.3736 0.2826  7 Cl 2.81-2.93
La 0.7191 0.6264 0.7174  7 Cl 2.81-2.93
La 0.7191 0.8736 0.2174  7 Cl 2.81-2.93
Cl 0.0054 0.2402 0.3047  1 La 2.90, 2 Ba 3.21-3.22
Cl 0.0054 0.2598 0.8047  1 La 2.90, 2 Ba 3.21-3.22
Cl 0.0064 0.1038 0.5797  1 La 2.93, 2 Ba 3.28
Cl 0.0064 0.3962 0.0797  1 La 2.93, 2 Ba 3.28
Cl 0.1974 0.5448 0.2875  1 La 2.81
Cl 0.1974 0.9552 0.7875  1 La 2.81
Cl 0.2033 0.1418 0.0374  1 La 2.83
Cl 0.2033 0.3582 0.5374  1 La 2.83
Cl 0.3594 0.5711 0.6234  1 La 2.87, 2 Ba 3.17-3.18
Cl 0.3594 0.9289 0.1234  1 La 2.87, 2 Ba 3.17-3.18
Cl 0.4955 0.6035 0.9338  1 La 2.87
Cl 0.4955 0.8965 0.4338  1 La 2.87
Cl 0.4965 0.7241 0.2056  1 La 2.87
Cl 0.4965 0.7759 0.7056  1 La 2.87
Cl 0.5035 0.2241 0.2944  1 La 2.87
Cl 0.5035 0.2759 0.7944  1 La 2.87
Cl 0.5045 0.1035 0.5662  1 La 2.87
Cl 0.5045 0.3965 0.0662  1 La 2.87
Cl 0.6406 0.0711 0.8766  1 La 2.87, 2 Ba 3.17-3.18
Cl 0.6406 0.4289 0.3766  1 La 2.87, 2 Ba 3.17-3.18
Cl 0.7967 0.6418 0.4626  1 La 2.83
Cl 0.7967 0.8582 0.9626  1 La 2.83
Cl 0.8026 0.0448 0.2125  1 La 2.81
Cl 0.8026 0.4552 0.7125  1 La 2.81
Cl 0.9936 0.6038 0.9203  1 La 2.93, 2 Ba 3.28
Cl 0.9936 0.8962 0.4203  1 La 2.93, 2 Ba 3.28
Cl 0.9946 0.7402 0.1953  1 La 2.90, 2 Ba 3.21-3.22
Cl 0.9946 0.7598 0.6953  1 La 2.90, 2 Ba 3.21-3.22

Which of them is most stable, and which least? Most stable: Q; least stable: P.